Compound: Sr4C2N5
Source: Materials Project
Functional: PBE
Structure: relaxed

Output
Formation energy (meV/atom): -817

Unit cell a=13.032 b=7.101 c=7.274 alpha=90.00 beta=100.89 gamma=90.00
Space group P2_1/c (No. 14)
Unique sites:
Sr (0.039, 0.230, 0.007)
Sr (0.172, 0.594, 0.268)
Sr (0.322, 0.177, 0.150)
Sr (0.389, 0.659, 0.029)
C (0.136, 0.508, 0.782)
C (0.465, 0.018, 0.884)
N (0.030, 0.523, 0.787)
N (0.170, 0.579, 0.623)
N (0.206, 0.085, 0.423)
N (0.362, 0.509, 0.357)
N (0.479, 0.568, 0.746)


Compound: Ta2CN
Source: Materials Project
Functional: PBE
Structure: relaxed

Output
Formation energy (meV/atom): -836

Unit cell a=4.447 b=4.447 c=8.975 alpha=90.00 beta=90.00 gamma=90.00
Space group I4_1/amd (No. 141, origin choice 2)
Unique sites:
Ta (0.000, 0.250, 0.115)
C (0.000, 0.250, 0.875)
N (0.000, 0.250, 0.375)